Entry 1:
Here is a relaxed structure of La3TiBeS7 from Materials Project. Energies are from PBE-GGA.

energy relative to the elements	-2.101	eV/atom

Cell lengths 10.3207, 10.3207, 5.8181 Å; angles 90.00, 90.00, 120.00 degrees
Last column: nearest neighbours and their distance in Å.
Element x y z (fractional)
S1 0.4029 0.5177 0.0319  1 Be 2.13
S2 0.0765 0.2236 0.2662  2 Ti 2.50
S3 0.7764 0.8529 0.2662  2 Ti 2.50
S4 0.5971 0.4823 0.5319  1 Be 2.13
S5 0.3333 0.6667 0.5166  1 Be 2.08
La1 0.6086 0.7451 0.7491  6 S 2.78-3.10
S6 0.8529 0.0765 0.7662  2 Ti 2.50
La2 0.3914 0.2549 0.2491  6 S 2.78-3.10
Ti1 0.0000 0.0000 0.5153  6 S 2.50
S7 0.5177 0.1148 0.5319  1 Be 2.13
La3 0.2549 0.8634 0.7491  6 S 2.78-3.10
La4 0.8634 0.6086 0.2491  6 S 2.78-3.10
S8 0.8852 0.4029 0.5319  1 Be 2.13
S9 0.2236 0.1471 0.7662  2 Ti 2.50
Be1 0.6667 0.3333 0.6587  4 S 2.08-2.13
S10 0.4823 0.8852 0.0319  1 Be 2.13
S11 0.1471 0.9235 0.2662  2 Ti 2.50
S12 0.6667 0.3333 0.0166  1 Be 2.08
La5 0.7451 0.1366 0.2491  6 S 2.78-3.10
La6 0.1366 0.3914 0.7491  6 S 2.78-3.10
S13 0.9235 0.7764 0.7662  2 Ti 2.50
Ti2 0.0000 0.0000 0.0153  6 S 2.50
S14 0.1148 0.5971 0.0319  1 Be 2.13
Be2 0.3333 0.6667 0.1587  4 S 2.08-2.13

Entry 2:
Here is a relaxed structure of Li2PmAl from Materials Project. Energies are from PBE-GGA.

energy relative to the elements	-0.188	eV/atom

Cell lengths 4.8297, 4.8297, 4.8297 Å; angles 60.00, 60.00, 60.00 degrees
Last column: nearest neighbours and their distance in Å.
Element x y z (fractional)
Al1 0.5000 0.5000 0.5000  8 Li 2.96
Li1 0.7500 0.7500 0.7500  4 Pm 2.96, 4 Al 2.96
Li2 0.2500 0.2500 0.2500  4 Al 2.96, 4 Pm 2.96
Pm1 0.0000 0.0000 0.0000  8 Li 2.96

Entry 3:
Here is a relaxed structure of RbPaO3 from Materials Project. Energies are from PBE-GGA.

energy relative to the elements	-3.537	eV/atom

Cell lengths 4.4105, 4.4105, 4.4105 Å; angles 90.00, 90.00, 90.00 degrees
Last column: nearest neighbours and their distance in Å.
Element x y z (fractional)
O1 0.0000 0.5000 0.0000  2 Pa 2.21
Pa1 0.0000 0.0000 0.0000  6 O 2.21
O2 0.5000 0.0000 0.0000  2 Pa 2.21
O3 0.0000 0.0000 0.5000  2 Pa 2.21
Rb1 0.5000 0.5000 0.5000  12 O 3.12

Entry 4:
Here is a relaxed structure of MoS2 from Materials Project. Energies are from PBE-GGA.

energy relative to the elements	-0.934	eV/atom

Cell lengths 6.7877, 6.7877, 6.7877 Å; angles 60.00, 60.00, 60.00 degrees
Last column: nearest neighbours and their distance in Å.
Element x y z (fractional)
Mo1 0.8588 0.8588 0.4235  6 S 2.37-2.51
Mo2 0.4235 0.8588 0.8588  6 S 2.37-2.51
S1 0.6446 0.1185 0.1185  3 Mo 2.51
S2 0.1185 0.1185 0.6446  3 Mo 2.51
S3 0.6149 0.1553 0.6149  3 Mo 2.37
S4 0.1185 0.1185 0.1185  3 Mo 2.51
Mo3 0.8588 0.8588 0.8588  6 S 2.37-2.51
S5 0.6149 0.6149 0.1553  3 Mo 2.37
S6 0.6149 0.6149 0.6149  3 Mo 2.37
S7 0.1553 0.6149 0.6149  3 Mo 2.37
Mo4 0.8588 0.4235 0.8588  6 S 2.37-2.51
S8 0.1185 0.6446 0.1185  3 Mo 2.51

Entry 5:
Here is a relaxed structure of Er15Fe8C25 from Materials Project. Energies are from PBE-GGA.

energy relative to the elements	-0.297	eV/atom

Cell lengths 5.0679, 11.8022, 11.8015 Å; angles 120.00, 90.00, 89.99 degrees
Last column: nearest neighbours and their distance in Å.
Element x y z (fractional)
C1 0.8113 0.1874 0.2968  1 C 1.40
Er1 0.2447 0.8552 0.3665  5 C 2.41-2.55
Er2 0.2524 0.5953 0.8839  8 C 2.44-2.65
Fe1 0.0079 0.9994 0.8672  3 C 1.92-1.98
C2 0.2385 0.0774 0.3958  1 C 1.36
Er3 0.4991 0.9992 0.1684  5 C 2.42-2.71, 1 Fe 2.70
C3 0.2385 0.3183 0.9225  1 C 1.36
C4 0.2395 0.4193 0.2965  1 C 1.39
C5 0.8113 0.1094 0.8125  1 C 1.39
C6 0.7616 0.9225 0.3183  1 C 1.36
Er4 0.2448 0.5113 0.1448  5 C 2.41-2.55
C7 0.7615 0.6816 0.6041  1 C 1.36
Er5 0.2523 0.2885 0.4046  8 C 2.44-2.65
C8 0.2577 0.4745 0.6417  1 C 1.36
C9 0.2386 0.6042 0.6817  1 C 1.36
C10 0.8110 0.7031 0.8906  1 C 1.39
Fe2 0.0006 0.2499 0.0006  2 C 1.92
C11 0.7605 0.5805 0.8765  1 C 1.39
Er6 0.4992 0.1692 0.0009  3 C 2.42-2.52, 1 Fe 2.70
C12 0.2577 0.3583 0.8329  1 C 1.36
Fe3 0.7359 0.6666 0.3333  3 C 1.83
C13 0.2395 0.8772 0.5807  1 C 1.39
Er7 0.2447 0.6335 0.4887  5 C 2.41-2.55
C14 0.2395 0.7035 0.1228  1 C 1.39
Er8 0.7472 0.7121 0.1159  8 C 2.44-2.63
C15 0.7428 0.8331 0.3586  1 C 1.36
Fe4 0.0078 0.1329 0.1322  3 C 1.92-1.98
C16 0.7605 0.1236 0.7041  1 C 1.39
C17 0.7428 0.6414 0.4744  1 C 1.36
C18 0.1842 0.8883 0.7012  1 C 1.39
C19 0.1844 0.8129 0.1118  1 C 1.39
C20 0.7615 0.3959 0.0775  1 C 1.36
C21 0.7605 0.2959 0.4194  1 C 1.40
Er9 0.2523 0.1161 0.7114  8 C 2.44-2.65
Fe5 0.0005 0.9994 0.2493  2 C 1.92
C22 0.1842 0.2988 0.1870  1 C 1.39
C23 0.2577 0.1671 0.5254  1 C 1.36
Er10 0.7471 0.8841 0.5961  8 C 2.44-2.63
C24 0.7429 0.5256 0.1669  1 C 1.36
Fe6 0.0080 0.8679 0.0006  3 C 1.92-1.99
Er11 0.7553 0.1450 0.5119  5 C 2.41-2.56
C25 0.2292 0.0001 0.0000  3 Fe 1.92
Fe7 0.0006 0.7507 0.7502  2 C 1.92
Er12 0.7471 0.4038 0.2880  8 C 2.44-2.63
Fe8 0.2653 0.3333 0.6666  3 C 1.83
Er13 0.7552 0.3669 0.8550  5 C 2.40-2.56
Er14 0.4992 0.8317 0.8308  4 C 2.42-2.71, 1 Fe 2.70
Er15 0.7553 0.4880 0.6330  5 C 2.40-2.56

Entry 6:
Here is a relaxed structure of CsYNb6Br18 from Materials Project. Energies are from PBE-GGA.

energy relative to the elements	-1.517	eV/atom

Cell lengths 9.9713, 9.9713, 18.6077 Å; angles 90.00, 90.00, 120.00 degrees
Last column: nearest neighbours and their distance in Å.
Element x y z (fractional)
Br1 0.2308 0.1846 0.3411  2 Nb 2.61-2.62
Br2 0.8154 0.7692 0.1589  2 Nb 2.61-2.62
Br3 0.7692 0.8154 0.6589  2 Nb 2.61-2.62
Nb1 0.1489 0.1872 0.0647  4 Br 2.61-2.62
Nb2 0.8128 0.8511 0.4353  4 Br 2.61-2.62
Br4 0.1386 0.4139 0.9992  2 Nb 2.62
Br5 0.2753 0.4139 0.5008  2 Nb 2.62
Br6 0.5861 0.8614 0.5008  2 Nb 2.62
Nb3 0.8511 0.8128 0.9353  4 Br 2.61-2.62
Y1 0.6667 0.3333 0.7500  6 Br 2.86
Br7 0.0851 0.6370 0.1614  1 Y 2.86, 1 Nb 3.00
Nb4 0.1872 0.0383 0.9353  4 Br 2.61-2.62
Nb5 0.0383 0.1872 0.4353  4 Br 2.61-2.62
Br8 0.1846 0.2308 0.8411  2 Nb 2.61-2.62
Br9 0.9149 0.3630 0.8386  1 Y 2.86, 1 Nb 3.00
Nb6 0.8128 0.9617 0.0647  4 Br 2.61-2.62
Br10 0.1846 0.9538 0.6589  2 Nb 2.61-2.62
Br11 0.5519 0.6370 0.3386  1 Y 2.86, 1 Nb 3.00
Nb7 0.1489 0.9617 0.4353  4 Br 2.61-2.62
Nb8 0.0383 0.8511 0.0647  4 Br 2.61-2.62
Br12 0.1386 0.7247 0.5008  2 Nb 2.62
Br13 0.6370 0.0851 0.6614  1 Y 2.86, 1 Nb 3.00
Br14 0.2308 0.0462 0.1589  2 Nb 2.61-2.62
Br15 0.7692 0.9538 0.8411  2 Nb 2.61-2.62
Br16 0.4139 0.1386 0.4992  2 Nb 2.62
Br17 0.5519 0.9149 0.1614  1 Y 2.86, 1 Nb 3.00
Br18 0.0462 0.2308 0.6589  2 Nb 2.61-2.62
Br19 0.2753 0.8614 0.9992  2 Nb 2.62
Nb9 0.1872 0.1489 0.5647  4 Br 2.61-2.62
Br20 0.4139 0.2753 0.0008  2 Nb 2.62
Br21 0.5861 0.7247 0.9992  2 Nb 2.62
Br22 0.7247 0.1386 0.0008  2 Nb 2.62
Br23 0.6370 0.5519 0.8386  1 Y 2.86, 1 Nb 3.00
Br24 0.8614 0.5861 0.0008  2 Nb 2.62
Br25 0.8154 0.0462 0.3411  2 Nb 2.61-2.62
Br26 0.9538 0.1846 0.1589  2 Nb 2.61-2.62
Cs1 0.6667 0.3333 0.2500  12 Br 4.08-4.19
Nb10 0.8511 0.0383 0.5647  4 Br 2.61-2.62
Br27 0.9149 0.5519 0.6614  1 Y 2.86, 1 Nb 3.00
Br28 0.7247 0.5861 0.4992  2 Nb 2.62
Br29 0.0851 0.4481 0.3386  1 Y 2.86, 1 Nb 3.00
Nb11 0.9617 0.8128 0.5647  4 Br 2.61-2.62
Cs2 0.3333 0.6667 0.7500  12 Br 4.08-4.19
Nb12 0.9617 0.1489 0.9353  4 Br 2.61-2.62
Br30 0.4481 0.0851 0.8386  1 Y 2.86, 1 Nb 3.00
Br31 0.4481 0.3630 0.6614  1 Y 2.86, 1 Nb 3.00
Br32 0.3630 0.9149 0.3386  1 Y 2.86, 1 Nb 3.00
Br33 0.0462 0.8154 0.8411  2 Nb 2.61-2.62
Br34 0.3630 0.4481 0.1614  1 Y 2.86, 1 Nb 3.00
Br35 0.9538 0.7692 0.3411  2 Nb 2.61-2.62
Y2 0.3333 0.6667 0.2500  6 Br 2.86
Br36 0.8614 0.2753 0.4992  2 Nb 2.62

Entry 7:
Here is a relaxed structure of LiTl6C2O6F2 from Materials Project. Energies are from PBE-GGA.

energy relative to the elements	-1.571	eV/atom

Cell lengths 6.0894, 7.6098, 9.1627 Å; angles 123.64, 91.30, 91.67 degrees
Last column: nearest neighbours and their distance in Å.
Element x y z (fractional)
Li1 0.7658 0.8253 0.4415  2 F 1.81-1.82, 1 O 1.91
O1 0.3029 0.8143 0.7884  1 C 1.30
F1 0.5438 0.9016 0.3556  1 Li 1.81
Tl1 0.2459 0.2386 0.7949  2 O 2.65-2.76, 1 F 2.81
C1 0.2988 0.6473 0.7935  3 O 1.30-1.32
C2 0.7175 0.3855 0.2617  3 O 1.30-1.31
O2 0.7587 0.5591 0.4163  1 C 1.31
F2 0.0300 0.9585 0.4662  1 Li 1.82
Tl2 0.2599 0.0375 0.2414  1 F 2.52, 1 O 2.71
Tl3 0.7657 0.3227 0.5706  2 O 2.61-2.84
O3 0.3398 0.6637 0.9423  1 C 1.32
O4 0.7037 0.2039 0.2448  1 C 1.30
O5 0.2546 0.4600 0.6515  1 C 1.31
Tl4 0.7254 0.0096 0.8650  2 O 2.56-2.80
O6 0.6898 0.3923 0.1239  1 C 1.30
Tl5 0.2524 0.6433 0.4443  2 O 2.67-2.91, 1 F 2.70
Tl6 0.7516 0.6784 0.0482  2 O 2.64-2.65, 1 F 2.72